(1)
{"formula": "Na14Zr4Si11Sn4SO48", "functional": "PBE-GGA", "state": "optimized geometry", "lattice_angstrom": [[-4.108, 6.309, -16.696], [-6.641, -1.180, 6.221], [3.153, 21.470, 7.350]], "species": ["O", "O", "O", "O", "O", "O", "O", "O", "O", "O", "O", "O", "O", "O", "O", "O", "O", "O", "O", "O", "O", "O", "O", "O", "O", "O", "O", "O", "O", "O", "O", "O", "O", "O", "O", "O", "O", "O", "O", "O", "O", "O", "O", "O", "O", "O", "O", "O", "O", "O", "O", "O", "O", "O", "O", "O", "O", "O", "O", "O", "O", "O", "O", "O", "O", "O", "O", "O", "O", "O", "O", "O", "O", "O", "O", "O", "O", "O", "O", "O", "O", "O", "O", "O", "O", "O", "O", "O", "O", "O", "O", "O", "O", "O", "O", "O", "O", "O", "O", "O", "O", "O", "O", "O", "O", "O", "O", "O", "O", "O", "O", "O", "O", "O", "O", "O", "O", "O", "O", "O", "O", "O", "O", "O", "O", "O", "O", "O", "O", "O", "O", "O", "O", "O", "O", "O", "O", "O", "O", "O", "O", "O", "O", "O", "Si", "Si", "Si", "Si", "Si", "Si", "Si", "Si", "Si", "Si", "Si", "Si", "Si", "Si", "Si", "Si", "Si", "Si", "Si", "Si", "Si", "Si", "Si", "Si", "Si", "Si", "Si", "Si", "Si", "Si", "Si", "Si", "Si", "Na", "Na", "Na", "Na", "Na", "Na", "Na", "Na", "Na", "Na", "Na", "Na", "Na", "Na", "Na", "Na", "Na", "Na", "Na", "Na", "Na", "Na", "Na", "Na", "Na", "Na", "Na", "Na", "Na", "Na", "Na", "Na", "Na", "Na", "Na", "Na", "Na", "Na", "Na", "Na", "Na", "Na", "Sn", "Sn", "Sn", "Sn", "Sn", "Sn", "Sn", "Sn", "Sn", "Sn", "Sn", "Sn", "Zr", "Zr", "Zr", "Zr", "Zr", "Zr", "Zr", "Zr", "Zr", "Zr", "Zr", "Zr", "S", "S", "S"], "fractional_positions": [[0.985, 0.793, 0.806], [0.086, 0.684, 0.755], [0.394, 0.964, 0.693], [0.094, 0.026, 0.590], [0.414, 0.519, 0.745], [0.733, 0.151, 0.245], [0.679, 0.504, 0.078], [0.260, 0.703, 0.256], [0.773, 0.707, 0.976], [0.416, 0.023, 0.089], [0.085, 0.488, 0.255], [0.812, 0.124, 0.142], [0.095, 0.976, 0.197], [0.107, 0.024, 0.303], [0.927, 0.358, 0.922], [0.607, 0.025, 0.303], [0.911, 0.030, 0.808], [0.751, 0.372, 0.139], [0.753, 0.626, 0.859], [0.404, 0.835, 0.911], [0.350, 0.542, 0.527], [0.680, 0.854, 0.578], [0.189, 0.881, 0.862], [0.259, 0.815, 0.756], [0.233, 0.151, 0.245], [0.248, 0.130, 0.638], [0.853, 0.545, 0.525], [0.251, 0.146, 0.922], [0.079, 0.703, 0.474], [0.075, 0.644, 0.077], [0.320, 0.499, 0.921], [0.991, 0.813, 0.090], [0.941, 0.502, 0.138], [0.313, 0.123, 0.142], [0.585, 0.488, 0.255], [0.396, 0.823, 0.194], [0.813, 0.504, 0.641], [0.418, 0.813, 0.589], [0.064, 0.628, 0.360], [0.490, 0.166, 0.588], [0.753, 0.146, 0.922], [0.515, 0.210, 0.193], [0.072, 0.501, 0.578], [0.351, 0.160, 0.027], [0.250, 0.626, 0.857], [0.920, 0.291, 0.524], [0.909, 0.296, 0.244], [0.595, 0.023, 0.589], [0.107, 0.190, 0.803], [0.228, 0.298, 0.025], [0.064, 0.500, 0.861], [0.250, 0.372, 0.140], [0.178, 0.854, 0.578], [0.916, 0.024, 0.089], [0.316, 0.506, 0.641], [0.095, 0.164, 0.090], [0.080, 0.453, 0.976], [0.566, 0.630, 0.360], [0.013, 0.191, 0.910], [0.321, 0.143, 0.421], [0.484, 0.177, 0.306], [0.232, 0.315, 0.745], [0.189, 0.497, 0.361], [0.606, 0.176, 0.807], [0.410, 0.790, 0.307], [0.839, 0.166, 0.745], [0.562, 0.496, 0.858], [0.179, 0.504, 0.078], [0.853, 0.162, 0.025], [0.251, 0.355, 0.422], [0.753, 0.357, 0.423], [0.841, 0.512, 0.245], [0.895, 0.822, 0.194], [0.772, 0.839, 0.475], [0.156, 0.465, 0.755], [0.442, 0.503, 0.138], [0.595, 0.976, 0.197], [0.596, 0.165, 0.090], [0.249, 0.644, 0.579], [0.927, 0.496, 0.422], [0.581, 0.707, 0.476], [0.271, 0.839, 0.473], [0.904, 0.976, 0.411], [0.514, 0.837, 0.410], [0.912, 0.524, 0.744], [0.575, 0.507, 0.578], [0.687, 0.879, 0.859], [0.428, 0.358, 0.921], [0.341, 0.512, 0.245], [0.748, 0.642, 0.578], [0.405, 0.975, 0.411], [0.016, 0.822, 0.693], [0.228, 0.158, 0.525], [0.760, 0.828, 0.756], [0.014, 0.209, 0.193], [0.748, 0.123, 0.641], [0.760, 0.703, 0.256], [0.741, 0.312, 0.744], [0.586, 0.688, 0.756], [0.646, 0.452, 0.476], [0.648, 0.839, 0.975], [0.584, 0.187, 0.410], [0.421, 0.299, 0.526], [0.421, 0.547, 0.025], [0.583, 0.977, 0.912], [0.750, 0.876, 0.358], [0.492, 0.815, 0.091], [0.483, 0.790, 0.808], [0.821, 0.495, 0.922], [0.012, 0.836, 0.410], [0.728, 0.160, 0.525], [0.727, 0.294, 0.024], [0.896, 0.967, 0.694], [0.346, 0.170, 0.745], [0.146, 0.840, 0.976], [0.083, 0.980, 0.910], [0.429, 0.501, 0.422], [0.984, 0.178, 0.306], [0.575, 0.645, 0.077], [0.095, 0.214, 0.698], [0.990, 0.167, 0.591], [0.250, 0.874, 0.357], [0.821, 0.146, 0.422], [0.440, 0.371, 0.639], [0.248, 0.853, 0.078], [0.409, 0.297, 0.244], [0.157, 0.849, 0.255], [0.588, 0.212, 0.693], [0.411, 0.033, 0.807], [0.920, 0.549, 0.024], [0.656, 0.483, 0.756], [0.657, 0.849, 0.255], [0.690, 0.497, 0.362], [0.513, 0.191, 0.912], [0.916, 0.808, 0.588], [0.581, 0.457, 0.975], [0.904, 0.832, 0.912], [0.271, 0.705, 0.975], [0.909, 0.790, 0.307], [0.518, 0.823, 0.694], [0.148, 0.453, 0.474], [0.748, 0.855, 0.078], [0.937, 0.375, 0.639], [0.083, 0.185, 0.409], [0.002, 0.701, 0.750], [0.186, 0.040, 0.583], [0.166, 0.372, 0.417], [0.310, 0.956, 0.415], [0.482, 0.629, 0.082], [0.852, 0.004, 0.750], [0.831, 0.044, 0.084], [0.831, 0.619, 0.583], [0.020, 0.666, 0.416], [0.022, 0.378, 0.917], [0.689, 0.043, 0.583], [0.333, 0.627, 0.584], [0.981, 0.626, 0.082], [0.668, 0.958, 0.918], [0.810, 0.662, 0.918], [0.349, 0.995, 0.751], [0.522, 0.378, 0.916], [0.310, 0.666, 0.915], [0.483, 0.335, 0.582], [0.331, 0.042, 0.084], [0.500, 0.704, 0.751], [0.849, 0.697, 0.250], [0.188, 0.334, 0.084], [0.349, 0.698, 0.250], [0.978, 0.333, 0.583], [0.501, 0.302, 0.250], [0.689, 0.334, 0.083], [0.649, 0.298, 0.750], [0.167, 0.959, 0.918], [0.001, 0.302, 0.250], [0.523, 0.668, 0.416], [0.668, 0.374, 0.419], [0.809, 0.956, 0.416], [0.651, 0.967, 0.081], [0.664, 0.655, 0.168], [0.832, 0.968, 0.583], [0.518, 0.702, 0.583], [0.667, 0.668, 0.667], [0.651, 0.333, 0.583], [0.483, 0.667, 0.917], [0.337, 0.345, 0.332], [0.320, 0.000, 0.250], [0.017, 0.337, 0.083], [0.001, 0.001, 0.000], [0.167, 0.032, 0.418], [0.684, 0.002, 0.750], [0.016, 0.695, 0.584], [0.818, 0.634, 0.750], [0.667, 0.299, 0.917], [0.333, 0.328, 0.834], [0.150, 0.966, 0.081], [0.849, 0.663, 0.417], [0.837, 0.334, 0.832], [0.000, 0.001, 0.500], [0.320, 0.641, 0.751], [0.849, 0.035, 0.917], [0.517, 0.337, 0.083], [0.501, 0.000, 0.999], [0.332, 0.697, 0.083], [0.333, 0.967, 0.584], [0.164, 0.655, 0.168], [0.501, 0.000, 0.501], [0.164, 0.673, 0.668], [0.832, 0.697, 0.083], [0.501, 0.365, 0.751], [0.350, 0.033, 0.916], [0.349, 0.663, 0.416], [0.167, 0.302, 0.919], [0.484, 0.304, 0.416], [0.837, 0.345, 0.332], [0.983, 0.663, 0.917], [0.667, 0.034, 0.419], [0.983, 0.303, 0.417], [0.150, 0.334, 0.581], [0.820, 0.000, 0.250], [0.840, 0.348, 0.184], [0.667, 0.667, 0.518], [0.834, 0.333, 0.482], [0.164, 0.676, 0.816], [0.165, 0.652, 0.316], [0.167, 0.666, 0.018], [0.667, 0.667, 0.019], [0.668, 0.669, 0.815], [0.834, 0.334, 0.982], [0.836, 0.335, 0.686], [0.340, 0.348, 0.184], [0.666, 0.652, 0.316], [0.336, 0.328, 0.683], [0.496, 0.004, 0.148], [0.334, 0.334, 0.481], [0.995, 0.987, 0.648], [0.995, 0.003, 0.148], [0.495, 0.997, 0.352], [0.993, 0.996, 0.352], [0.166, 0.665, 0.518], [0.500, 0.001, 0.851], [0.994, 0.990, 0.853], [0.500, 0.000, 0.650], [0.333, 0.335, 0.982], [0.146, 0.293, 0.750], [0.647, 0.000, 0.250], [0.147, 0.000, 0.250]], "formation_enthalpy_0k_mev_per_atom": -2819, "mass_density_g_cm3": 3.39, "energy_mp2020_ev_per_atom": -7.332, "total_energy_ev_per_atom": -6.929}

(2)
{"formula": "Na2Zr2Si3Sn2S3O24", "functional": "PBE-GGA", "state": "optimized geometry", "lattice_angstrom": [[8.938, 0.004, -0.022], [-4.466, 7.732, -0.019], [-0.059, -0.090, 23.314]], "species": ["O", "O", "O", "O", "O", "O", "O", "O", "O", "O", "O", "O", "O", "O", "O", "O", "O", "O", "O", "O", "O", "O", "O", "O", "O", "O", "O", "O", "O", "O", "O", "O", "O", "O", "O", "O", "O", "O", "O", "O", "O", "O", "O", "O", "O", "O", "O", "O", "O", "O", "O", "O", "O", "O", "O", "O", "O", "O", "O", "O", "O", "O", "O", "O", "O", "O", "O", "O", "O", "O", "O", "O", "Sn", "Sn", "Sn", "Sn", "Sn", "Sn", "S", "S", "S", "S", "S", "S", "S", "S", "S", "Na", "Na", "Na", "Na", "Na", "Na", "Si", "Si", "Si", "Si", "Si", "Si", "Si", "Si", "Si", "Zr", "Zr", "Zr", "Zr", "Zr", "Zr"], "fractional_positions": [[0.521, 0.833, 0.755], [0.140, 0.628, 0.079], [0.198, 0.191, 0.084], [0.970, 0.169, 0.307], [0.681, 0.136, 0.027], [0.491, 0.644, 0.581], [0.130, 0.493, 0.580], [0.839, 0.530, 0.021], [0.868, 0.361, 0.922], [0.793, 0.808, 0.197], [0.795, 0.822, 0.915], [0.184, 0.473, 0.253], [0.148, 0.451, 0.971], [0.821, 0.021, 0.814], [0.125, 0.480, 0.866], [0.640, 0.509, 0.923], [0.301, 0.851, 0.975], [0.854, 0.313, 0.532], [0.515, 0.637, 0.867], [0.353, 0.476, 0.364], [0.642, 0.146, 0.423], [0.628, 0.112, 0.132], [0.158, 0.693, 0.474], [0.817, 0.021, 0.085], [0.225, 0.185, 0.812], [0.971, 0.781, 0.806], [0.181, 0.976, 0.191], [0.368, 0.504, 0.072], [0.484, 0.352, 0.422], [0.362, 0.872, 0.860], [0.127, 0.643, 0.359], [0.854, 0.497, 0.137], [0.840, 0.818, 0.589], [0.007, 0.187, 0.191], [0.214, 0.037, 0.307], [0.176, 0.203, 0.697], [0.804, 0.974, 0.699], [0.814, 0.782, 0.301], [0.036, 0.855, 0.411], [0.852, 0.535, 0.745], [0.978, 0.180, 0.587], [0.481, 0.365, 0.131], [0.701, 0.179, 0.747], [0.202, 0.025, 0.589], [0.152, 0.975, 0.912], [0.328, 0.845, 0.252], [0.536, 0.685, 0.972], [0.537, 0.688, 0.252], [0.458, 0.141, 0.532], [0.652, 0.512, 0.641], [0.025, 0.817, 0.701], [0.850, 0.510, 0.421], [0.971, 0.809, 0.084], [0.316, 0.462, 0.468], [0.508, 0.856, 0.075], [0.691, 0.531, 0.243], [0.837, 0.317, 0.248], [0.174, 0.204, 0.415], [0.548, 0.845, 0.472], [0.830, 0.988, 0.410], [0.871, 0.348, 0.636], [0.518, 0.861, 0.358], [0.485, 0.192, 0.240], [0.505, 0.156, 0.923], [0.292, 0.484, 0.760], [0.018, 0.198, 0.914], [0.447, 0.305, 0.027], [0.488, 0.332, 0.747], [0.160, 0.696, 0.757], [0.678, 0.525, 0.528], [0.478, 0.122, 0.637], [0.353, 0.865, 0.581], [0.685, 0.333, 0.191], [0.315, 0.672, 0.020], [0.016, 0.012, 0.850], [0.008, 0.005, 0.353], [0.348, 0.683, 0.812], [0.660, 0.329, 0.980], [0.622, 0.666, 0.919], [0.002, 0.710, 0.752], [0.959, 0.337, 0.584], [0.709, 0.706, 0.249], [0.662, 0.036, 0.080], [0.375, 0.341, 0.080], [0.373, 0.041, 0.584], [0.332, 0.376, 0.416], [0.042, 0.375, 0.917], [0.007, 0.975, 0.001], [0.360, 0.660, 0.665], [0.640, 0.301, 0.827], [0.300, 0.657, 0.176], [0.680, 0.313, 0.335], [0.973, 0.968, 0.493], [0.664, 0.627, 0.584], [0.329, 0.961, 0.916], [0.046, 0.679, 0.417], [0.006, 0.287, 0.250], [0.291, 0.300, 0.753], [0.637, 0.962, 0.414], [0.301, 0.012, 0.250], [0.948, 0.616, 0.081], [0.715, 0.006, 0.754], [0.351, 0.682, 0.516], [0.006, 0.994, 0.149], [0.654, 0.332, 0.689], [0.679, 0.347, 0.476], [0.990, 0.004, 0.648], [0.322, 0.676, 0.312]], "formation_enthalpy_0k_mev_per_atom": -2571, "mass_density_g_cm3": 3.18, "energy_mp2020_ev_per_atom": -7.437, "total_energy_ev_per_atom": -6.979}